Crystalline DyGa5Co at its relaxed geometry. Source: Materials Project, functional r2SCAN.

ΔH_f (0 K) (eV per atom): -0.467
E_tot (eV per atom): -15.10
Spin magnetization (Bohr magnetons per cell): 0.000
Volume (Å³/cell): 118

Geometry as POSCAR:
```
DyGa5Co
1.0
-3.061 -2.761 -0.645
2.824 -3.054 -0.326
-0.416 -1.094 6.654
Dy Ga Co
1 5 1
Direct
0.000 0.000 0.000 Dy
0.500 0.500 0.000 Ga
0.500 0.000 0.688 Ga
0.000 0.500 0.688 Ga
0.500 0.000 0.312 Ga
0.000 0.500 0.312 Ga
0.000 0.000 0.500 Co
```


Crystalline Lu2O3 at its relaxed geometry. Source: Materials Project, functional r2SCAN.

ΔH_f (0 K) (eV per atom): -4.016
E_tot (eV per atom): -22.83
Spin magnetization (Bohr magnetons per cell): 0.000
Volume (Å³/cell): 187

Geometry as POSCAR:
```
Lu2O3
1.0
-0.576 -1.477 2.961
2.090 -5.265 -4.125
7.384 2.685 2.775
Lu O
6 9
Direct
0.365 0.729 0.513 Lu
0.691 0.383 0.137 Lu
0.968 0.935 0.186 Lu
0.635 0.271 0.487 Lu
0.032 0.065 0.814 Lu
0.309 0.617 0.863 Lu
0.793 0.585 0.377 O
0.873 0.746 0.719 O
0.826 0.651 0.032 O
0.530 0.061 0.657 O
0.174 0.349 0.968 O
0.127 0.254 0.281 O
0.207 0.415 0.623 O
0.500 0.000 0.000 O
0.470 0.939 0.343 O
```